Entry from Materials Project: a geometry-optimized Li9Mn2Co5O16 structure (GGA+U).

Geometry as CIF:
```
data_Li9Mn2Co5O16
_chemical_formula_sum 'Li9 Mn2 Co5 O16'
_space_group_name_H-M_alt 'P 1'
_space_group_IT_number 1
_space_group_name_Hall 'P 1'
_cell_length_a 5.852
_cell_length_b 5.882
_cell_length_c 9.736
_cell_angle_alpha 91.55
_cell_angle_beta 98.87
_cell_angle_gamma 119.39
loop_
_atom_site_label
_atom_site_type_symbol
_atom_site_fract_x
_atom_site_fract_y
_atom_site_fract_z
O1 O 0.839 0.411 0.621
O2 O 0.117 0.293 0.882
O3 O 0.161 0.077 0.373
O4 O 0.902 0.194 0.124
O5 O 0.387 0.448 0.607
O6 O 0.380 0.917 0.623
O7 O 0.846 0.933 0.621
O8 O 0.657 0.835 0.882
O9 O 0.887 0.711 0.117
O10 O 0.146 0.575 0.375
O11 O 0.349 0.684 0.129
O12 O 0.605 0.048 0.389
O13 O 0.608 0.577 0.374
O14 O 0.119 0.818 0.887
O15 O 0.355 0.178 0.126
O16 O 0.651 0.310 0.876
Co1 Co 0.752 0.121 0.748
Co2 Co 0.990 0.501 0.991
Co3 Co 0.249 0.875 0.250
Co4 Co 0.253 0.379 0.249
Co5 Co 0.504 0.252 0.504
Li1 Li 0.502 0.001 0.998
Li2 Li 0.749 0.625 0.748
Li3 Li 0.994 0.742 0.508
Li4 Li 0.252 0.116 0.752
Li5 Li 0.251 0.630 0.750
Li6 Li 0.504 0.504 0.993
Li7 Li 0.997 0.250 0.503
Li8 Li 0.749 0.375 0.250
Li9 Li 0.748 0.875 0.249
Mn1 Mn 0.498 0.747 0.503
Mn2 Mn 0.999 0.996 0.996
```

Output
Symmetry: P1, No. 1
ΔE to the lowest computed polymorph, eV/atom: 0.0212
DFT formation energy, eV per atom: -1.843

***

Entry from Materials Project: a geometry-optimized MgFe8O14F2 structure (GGA+U).

Geometry as CIF:
```
data_MgFe8O14F2
_chemical_formula_sum 'Mg1 Fe8 O14 F2'
_space_group_name_H-M_alt 'P 1'
_space_group_IT_number 1
_space_group_name_Hall 'P 1'
_cell_length_a 4.855
_cell_length_b 4.854
_cell_length_c 11.839
_cell_angle_alpha 90.14
_cell_angle_beta 89.14
_cell_angle_gamma 90.05
loop_
_atom_site_label
_atom_site_type_symbol
_atom_site_fract_x
_atom_site_fract_y
_atom_site_fract_z
Fe1 Fe 0.001 0.992 0.251
Fe2 Fe 0.490 0.499 0.621
Fe3 Fe 0.026 0.030 0.495
Fe4 Fe 0.500 0.493 0.124
Fe5 Fe 0.000 0.983 0.754
Fe6 Fe 0.471 0.523 0.880
Fe7 Fe 0.009 0.989 0.010
Fe8 Fe 0.495 0.487 0.365
O1 O 0.301 0.310 0.752
O2 O 0.204 0.813 0.622
O3 O 0.685 0.684 0.005
O4 O 0.189 0.811 0.370
O5 O 0.306 0.312 0.005
O6 O 0.328 0.311 0.495
O7 O 0.810 0.194 0.625
O8 O 0.819 0.190 0.370
O9 O 0.315 0.303 0.242
O10 O 0.688 0.697 0.752
O11 O 0.188 0.823 0.879
O12 O 0.816 0.174 0.130
O13 O 0.685 0.676 0.246
O14 O 0.186 0.802 0.133
F1 F 0.789 0.189 0.877
F2 F 0.698 0.706 0.497
Mg1 Mg 0.502 0.006 0.690
```

Output
Symmetry: P1, No. 1
ΔE to the lowest computed polymorph, eV/atom: 0.0784
DFT formation energy, eV per atom: -1.558

***

Entry from Materials Project: a geometry-optimized Ba3UFe2O9 structure (GGA+U).

Geometry as CIF:
```
data_Ba3UFe2O9
_chemical_formula_sum 'Ba6 U2 Fe4 O18'
_space_group_name_H-M_alt 'P 1'
_space_group_IT_number 1
_space_group_name_Hall 'P 1'
_cell_length_a 10.224
_cell_length_b 10.224
_cell_length_c 10.224
_cell_angle_alpha 146.60
_cell_angle_beta 131.38
_cell_angle_gamma 60.27
loop_
_atom_site_label
_atom_site_type_symbol
_atom_site_fract_x
_atom_site_fract_y
_atom_site_fract_z
O1 O 0.417 0.666 0.750
O2 O 0.583 0.334 0.250
O3 O 0.084 0.835 0.750
O4 O 0.751 0.500 0.748
O5 O 0.584 0.835 0.251
O6 O 0.416 0.666 0.251
O7 O 0.084 0.334 0.250
O8 O 0.916 0.666 0.750
O9 O 0.584 0.334 0.749
O10 O 0.916 0.666 0.250
O11 O 0.256 0.000 0.256
O12 O 0.249 0.500 0.252
O13 O 0.916 0.165 0.250
O14 O 0.249 0.997 0.748
O15 O 0.416 0.165 0.749
O16 O 0.751 0.003 0.252
O17 O 0.084 0.334 0.750
O18 O 0.744 0.000 0.744
Ba1 Ba 0.606 0.844 0.762
Ba2 Ba 0.918 0.156 0.762
Ba3 Ba 0.771 0.500 0.271
Ba4 Ba 0.394 0.156 0.238
Ba5 Ba 0.082 0.844 0.238
Ba6 Ba 0.229 0.500 0.729
Fe1 Fe 0.838 0.338 0.500
Fe2 Fe 0.162 0.662 0.500
Fe3 Fe 0.500 0.000 0.500
Fe4 Fe 0.000 0.000 0.000
U1 U 0.332 0.332 0.000
U2 U 0.668 0.668 0.000
```

Output
Symmetry: Immm, No. 71
DFT formation energy, eV per atom: -2.888

***

Entry from Materials Project: a geometry-optimized Li4Co3Sn5O16 structure (GGA+U).

Geometry as CIF:
```
data_Li4Co3Sn5O16
_chemical_formula_sum 'Li8 Co6 Sn10 O32'
_space_group_name_H-M_alt 'P 1'
_space_group_IT_number 1
_space_group_name_Hall 'P 1'
_cell_length_a 6.162
_cell_length_b 9.864
_cell_length_c 10.583
_cell_angle_alpha 89.83
_cell_angle_beta 89.39
_cell_angle_gamma 89.51
loop_
_atom_site_label
_atom_site_type_symbol
_atom_site_fract_x
_atom_site_fract_y
_atom_site_fract_z
O1 O 0.501 0.100 0.160
O2 O 0.729 0.845 0.757
O3 O 0.237 0.592 0.083
O4 O 0.478 0.603 0.338
O5 O 0.767 0.103 0.913
O6 O 0.999 0.095 0.161
O7 O 0.502 0.093 0.661
O8 O 0.268 0.344 0.238
O9 O 0.983 0.604 0.836
O10 O 0.281 0.848 0.758
O11 O 0.750 0.598 0.083
O12 O 0.256 0.595 0.584
O13 O 0.784 0.334 0.749
O14 O 0.742 0.592 0.575
O15 O 0.726 0.346 0.238
O16 O 0.256 0.096 0.422
O17 O 0.225 0.845 0.259
O18 O 0.516 0.801 0.496
O19 O 0.751 0.096 0.423
O20 O 0.002 0.106 0.678
O21 O 0.985 0.610 0.340
O22 O 0.772 0.841 0.271
O23 O 0.001 0.344 0.518
O24 O 0.024 0.835 0.487
O25 O 0.518 0.843 0.984
O26 O 0.508 0.603 0.835
O27 O 0.994 0.806 0.999
O28 O 0.000 0.311 0.987
O29 O 0.213 0.335 0.749
O30 O 0.238 0.102 0.913
O31 O 0.499 0.345 0.013
O32 O 0.501 0.314 0.505
Li1 Li 0.494 0.498 0.491
Li2 Li 0.503 0.893 0.168
Li3 Li 0.006 0.890 0.673
Li4 Li 0.505 0.984 0.481
Li5 Li 0.995 0.500 0.990
Li6 Li 0.995 0.404 0.331
Li7 Li 0.500 0.404 0.836
Li8 Li 0.002 0.987 0.978
Co1 Co 0.754 0.709 0.418
Co2 Co 0.243 0.715 0.420
Co3 Co 0.740 0.716 0.920
Co4 Co 0.255 0.713 0.916
Co5 Co 0.499 0.216 0.330
Co6 Co 0.000 0.216 0.829
Sn1 Sn 0.746 0.216 0.083
Sn2 Sn 0.504 0.985 0.837
Sn3 Sn 0.997 0.496 0.673
Sn4 Sn 0.494 0.496 0.171
Sn5 Sn 0.502 0.713 0.673
Sn6 Sn 0.253 0.216 0.083
Sn7 Sn 0.248 0.213 0.586
Sn8 Sn 0.005 0.985 0.341
Sn9 Sn 0.755 0.213 0.586
Sn10 Sn 0.999 0.715 0.170
```

Output
Symmetry: P1, No. 1
ΔE to the lowest computed polymorph, eV/atom: 0.0036
DFT formation energy, eV per atom: -1.942

***

Entry from Materials Project: a geometry-optimized TiMnP2O8 structure (GGA+U).

Geometry as CIF:
```
data_TiMnP2O8
_chemical_formula_sum 'Ti3 Mn3 P6 O24'
_space_group_name_H-M_alt 'P 1'
_space_group_IT_number 1
_space_group_name_Hall 'P 1'
_cell_length_a 8.680
_cell_length_b 8.680
_cell_length_c 8.680
_cell_angle_alpha 60.13
_cell_angle_beta 60.13
_cell_angle_gamma 60.13
loop_
_atom_site_label
_atom_site_type_symbol
_atom_site_fract_x
_atom_site_fract_y
_atom_site_fract_z
O1 O 0.306 0.499 0.121
O2 O 0.269 0.050 0.901
O3 O 0.672 0.517 0.886
O4 O 0.449 0.236 0.580
O5 O 0.573 0.761 0.414
O6 O 0.901 0.269 0.050
O7 O 0.517 0.886 0.672
O8 O 0.808 0.622 0.999
O9 O 0.743 0.939 0.087
O10 O 0.761 0.414 0.573
O11 O 0.397 0.978 0.192
O12 O 0.087 0.743 0.939
O13 O 0.121 0.306 0.499
O14 O 0.939 0.087 0.743
O15 O 0.192 0.397 0.978
O16 O 0.414 0.573 0.761
O17 O 0.886 0.672 0.517
O18 O 0.499 0.121 0.306
O19 O 0.999 0.808 0.622
O20 O 0.050 0.901 0.269
O21 O 0.580 0.449 0.236
O22 O 0.978 0.192 0.397
O23 O 0.622 0.999 0.808
O24 O 0.236 0.580 0.449
P1 P 0.459 0.044 0.745
P2 P 0.044 0.745 0.459
P3 P 0.952 0.248 0.548
P4 P 0.248 0.548 0.952
P5 P 0.548 0.952 0.248
P6 P 0.745 0.459 0.044
Ti1 Ti 0.646 0.646 0.646
Ti2 Ti 0.855 0.855 0.855
Ti3 Ti 0.353 0.353 0.353
Mn1 Mn 0.146 0.146 0.146
Mn2 Mn 0.003 0.003 0.003
Mn3 Mn 0.501 0.501 0.501
```

Output
Symmetry: R3, No. 146
ΔE to the lowest computed polymorph, eV/atom: 0.0000
DFT formation energy, eV per atom: -2.857

***

Entry from Materials Project: a geometry-optimized LaFe5Bi4O15 structure (GGA+U).

Geometry as CIF:
```
data_LaFe5Bi4O15
_chemical_formula_sum 'La2 Fe10 Bi8 O30'
_space_group_name_H-M_alt 'P 1'
_space_group_IT_number 1
_space_group_name_Hall 'P 1'
_cell_length_a 5.634
_cell_length_b 5.705
_cell_length_c 23.257
_cell_angle_alpha 96.60
_cell_angle_beta 89.95
_cell_angle_gamma 119.57
loop_
_atom_site_label
_atom_site_type_symbol
_atom_site_fract_x
_atom_site_fract_y
_atom_site_fract_z
O1 O 0.737 0.431 0.591
O2 O 0.392 0.152 0.221
O3 O 0.693 0.467 0.320
O4 O 0.719 0.979 0.308
O5 O 0.926 0.791 0.911
O6 O 0.275 0.288 0.411
O7 O 0.320 0.812 0.391
O8 O 0.092 0.071 0.520
O9 O 0.595 0.972 0.820
O10 O 0.075 0.490 0.811
O11 O 0.195 0.372 0.621
O12 O 0.780 0.924 0.091
O13 O 0.182 0.526 0.291
O14 O 0.876 0.688 0.211
O15 O 0.323 0.384 0.109
O16 O 0.920 0.212 0.190
O17 O 0.897 0.272 0.921
O18 O 0.123 0.586 0.510
O19 O 0.995 0.572 0.020
O20 O 0.526 0.190 0.711
O21 O 0.298 0.868 0.121
O22 O 0.136 0.031 0.790
O23 O 0.385 0.331 0.890
O24 O 0.675 0.889 0.611
O25 O 0.793 0.751 0.421
O26 O 0.588 0.134 0.490
O27 O 0.986 0.731 0.690
O28 O 0.497 0.671 0.721
O29 O 0.536 0.631 0.990
O30 O 0.475 0.089 0.011
Fe1 Fe 0.878 0.201 0.555
Fe2 Fe 0.278 0.801 0.754
Fe3 Fe 0.677 0.401 0.954
Fe4 Fe 0.578 0.502 0.654
Fe5 Fe 0.377 0.697 0.054
Fe6 Fe 0.775 0.297 0.253
Fe7 Fe 0.978 0.101 0.854
Fe8 Fe 0.176 0.901 0.453
Fe9 Fe 0.084 0.015 0.154
Fe10 Fe 0.484 0.614 0.355
Bi1 Bi 0.988 0.977 0.999
Bi2 Bi 0.685 0.279 0.098
Bi3 Bi 0.287 0.677 0.899
Bi4 Bi 0.091 0.883 0.298
Bi5 Bi 0.887 0.077 0.699
Bi6 Bi 0.187 0.776 0.598
Bi7 Bi 0.492 0.481 0.499
Bi8 Bi 0.588 0.376 0.799
La1 La 0.810 0.220 0.400
La2 La 0.411 0.621 0.202
```

Output
Symmetry: P1, No. 1
ΔE to the lowest computed polymorph, eV/atom: 0.4656
DFT formation energy, eV per atom: -1.404

***

Entry from Materials Project: a geometry-optimized MgCoPO5 structure (GGA+U).

Geometry as CIF:
```
data_MgCoPO5
_chemical_formula_sum 'Mg2 Co2 P2 O10'
_space_group_name_H-M_alt 'P 1'
_space_group_IT_number 1
_space_group_name_Hall 'P 1'
_cell_length_a 5.290
_cell_length_b 5.342
_cell_length_c 6.813
_cell_angle_alpha 104.21
_cell_angle_beta 103.98
_cell_angle_gamma 102.47
loop_
_atom_site_label
_atom_site_type_symbol
_atom_site_fract_x
_atom_site_fract_y
_atom_site_fract_z
Mg1 Mg 0.323 0.668 0.746
Mg2 Mg 0.677 0.332 0.254
O1 O 0.286 0.371 0.090
O2 O 0.122 0.661 0.375
O3 O 0.878 0.339 0.625
O4 O 0.092 0.917 0.754
O5 O 0.664 0.126 0.868
O6 O 0.908 0.083 0.246
O7 O 0.336 0.874 0.132
O8 O 0.616 0.709 0.404
O9 O 0.384 0.291 0.596
O10 O 0.714 0.629 0.910
P1 P 0.663 0.338 0.747
P2 P 0.337 0.662 0.253
Co1 Co 0.000 0.000 0.000
Co2 Co 0.000 0.000 0.500
```

Output
Symmetry: P-1, No. 2
DFT formation energy, eV per atom: -2.337

***

Entry from Materials Project: a geometry-optimized Li5Mn2Co3O10 structure (GGA+U).

Geometry as CIF:
```
data_Li5Mn2Co3O10
_chemical_formula_sum 'Li5 Mn2 Co3 O10'
_space_group_name_H-M_alt 'P 1'
_space_group_IT_number 1
_space_group_name_Hall 'P 1'
_cell_length_a 5.089
_cell_length_b 5.088
_cell_length_c 7.684
_cell_angle_alpha 71.50
_cell_angle_beta 70.94
_cell_angle_gamma 80.29
loop_
_atom_site_label
_atom_site_type_symbol
_atom_site_fract_x
_atom_site_fract_y
_atom_site_fract_z
O1 O 0.774 0.228 0.238
O2 O 0.871 0.777 0.543
O3 O 0.927 0.230 0.859
O4 O 0.130 0.224 0.458
O5 O 0.348 0.226 0.071
O6 O 0.570 0.236 0.656
O7 O 0.442 0.775 0.330
O8 O 0.671 0.774 0.944
O9 O 0.029 0.777 0.154
O10 O 0.226 0.758 0.751
Mn1 Mn 0.897 0.007 0.698
Mn2 Mn 0.101 0.995 0.305
Li1 Li 0.598 0.502 0.792
Li2 Li 0.782 0.502 0.411
Li3 Li 0.402 0.487 0.214
Li4 Li 0.502 0.001 0.499
Li5 Li 0.216 0.504 0.594
Co1 Co 0.005 0.500 0.999
Co2 Co 0.304 0.001 0.891
Co3 Co 0.696 0.001 0.103
```

Output
Symmetry: P1, No. 1
DFT formation energy, eV per atom: -1.851

***

Entry from Materials Project: a geometry-optimized MgFe2O2F2 structure (GGA+U).

Geometry as CIF:
```
data_MgFe2O2F2
_chemical_formula_sum 'Mg1 Fe2 O2 F2'
_space_group_name_H-M_alt 'P 1'
_space_group_IT_number 1
_space_group_name_Hall 'P 1'
_cell_length_a 5.224
_cell_length_b 5.805
_cell_length_c 3.227
_cell_angle_alpha 90.00
_cell_angle_beta 90.00
_cell_angle_gamma 84.24
loop_
_atom_site_label
_atom_site_type_symbol
_atom_site_fract_x
_atom_site_fract_y
_atom_site_fract_z
O1 O 0.319 0.314 0.000
O2 O 0.743 0.601 0.000
Fe1 Fe 0.436 0.469 0.500
Fe2 Fe 0.966 0.279 0.000
F1 F 0.799 0.108 0.500
F2 F 0.216 0.784 0.500
Mg1 Mg 0.855 0.763 0.500
```

Output
Symmetry: Pm, No. 6
ΔE to the lowest computed polymorph, eV/atom: 0.2172
DFT formation energy, eV per atom: -2.135

***

Entry from Materials Project: a geometry-optimized MgZn2Co2Si2O10 structure (GGA+U).

Geometry as CIF:
```
data_MgZn2Co2Si2O10
_chemical_formula_sum 'Mg1 Zn2 Co2 Si2 O10'
_space_group_name_H-M_alt 'P 1'
_space_group_IT_number 1
_space_group_name_Hall 'P 1'
_cell_length_a 5.456
_cell_length_b 7.272
_cell_length_c 7.961
_cell_angle_alpha 91.72
_cell_angle_beta 46.28
_cell_angle_gamma 70.96
loop_
_atom_site_label
_atom_site_type_symbol
_atom_site_fract_x
_atom_site_fract_y
_atom_site_fract_z
O1 O 0.119 0.841 0.670
O2 O 0.634 0.384 0.170
O3 O 0.544 0.044 0.223
O4 O 0.523 0.727 0.053
O5 O 0.954 0.141 0.286
O6 O 0.186 0.326 0.615
O7 O 0.522 0.249 0.885
O8 O 0.852 0.652 0.335
O9 O 0.439 0.945 0.776
O10 O 0.480 0.560 0.752
Zn1 Zn 0.195 0.257 0.845
Zn2 Zn 0.541 0.760 0.280
Mg1 Mg 0.921 0.257 0.538
Co1 Co 0.419 0.517 0.035
Co2 Co 0.560 0.976 0.954
Si1 Si 0.470 0.747 0.647
Si2 Si 0.605 0.219 0.315
```

Output
Symmetry: P1, No. 1
ΔE to the lowest computed polymorph, eV/atom: 0.0130
DFT formation energy, eV per atom: -2.174

***

Entry from Materials Project: a geometry-optimized Li2FeCo3O8 structure (GGA+U).

Geometry as CIF:
```
data_Li2FeCo3O8
_chemical_formula_sum 'Li2 Fe1 Co3 O8'
_space_group_name_H-M_alt 'P 1'
_space_group_IT_number 1
_space_group_name_Hall 'P 1'
_cell_length_a 5.820
_cell_length_b 5.820
_cell_length_c 5.971
_cell_angle_alpha 60.29
_cell_angle_beta 60.29
_cell_angle_gamma 59.43
loop_
_atom_site_label
_atom_site_type_symbol
_atom_site_fract_x
_atom_site_fract_y
_atom_site_fract_z
O1 O 0.256 0.256 0.202
O2 O 0.245 0.245 0.799
O3 O 0.755 0.755 0.201
O4 O 0.230 0.725 0.787
O5 O 0.725 0.230 0.787
O6 O 0.744 0.744 0.798
O7 O 0.275 0.770 0.213
O8 O 0.770 0.275 0.213
Co1 Co 0.000 0.500 0.000
Co2 Co 0.500 0.500 0.000
Co3 Co 0.500 0.000 0.000
Li1 Li 0.500 0.500 0.500
Li2 Li 0.000 0.000 0.500
Fe1 Fe 0.000 0.000 0.000
```

Output
Symmetry: C2/m, No. 12
ΔE to the lowest computed polymorph, eV/atom: 0.0946
DFT formation energy, eV per atom: -1.473

***

Entry from Materials Project: a geometry-optimized La4FeAs4Ru3O4 structure (GGA+U).

Geometry as CIF:
```
data_La4FeAs4Ru3O4
_chemical_formula_sum 'La8 Fe2 As8 Ru6 O8'
_space_group_name_H-M_alt 'P 1'
_space_group_IT_number 1
_space_group_name_Hall 'P 1'
_cell_length_a 5.858
_cell_length_b 5.858
_cell_length_c 17.829
_cell_angle_alpha 80.55
_cell_angle_beta 80.55
_cell_angle_gamma 89.99
loop_
_atom_site_label
_atom_site_type_symbol
_atom_site_fract_x
_atom_site_fract_y
_atom_site_fract_z
As1 As 0.835 0.585 0.331
As2 As 0.335 0.085 0.331
As3 As 0.088 0.838 0.825
As4 As 0.915 0.165 0.170
As5 As 0.662 0.912 0.675
As6 As 0.415 0.665 0.170
As7 As 0.162 0.412 0.675
As8 As 0.588 0.338 0.825
O1 O 0.999 0.749 0.503
O2 O 0.999 0.249 0.502
O3 O 0.499 0.249 0.503
O4 O 0.251 0.001 0.997
O5 O 0.751 0.501 0.997
O6 O 0.251 0.501 0.998
O7 O 0.751 0.001 0.998
O8 O 0.499 0.749 0.502
Ru1 Ru 0.625 0.875 0.250
Ru2 Ru 0.375 0.125 0.750
Ru3 Ru 0.375 0.625 0.750
Ru4 Ru 0.875 0.625 0.750
Ru5 Ru 0.875 0.125 0.750
Ru6 Ru 0.125 0.375 0.250
La1 La 0.536 0.786 0.929
La2 La 0.036 0.286 0.929
La3 La 0.714 0.464 0.571
La4 La 0.214 0.964 0.571
La5 La 0.967 0.717 0.067
La6 La 0.283 0.533 0.433
La7 La 0.783 0.033 0.433
La8 La 0.467 0.217 0.067
Fe1 Fe 0.125 0.875 0.250
Fe2 Fe 0.625 0.375 0.250
```

Output
ΔE to the lowest computed polymorph, eV/atom: 0.0028
DFT formation energy, eV per atom: -1.974